A relaxed structure of Na2LiPrCl6, computed with PBE.

Properties
- Space-group type: Fm-3m
- Magnetization: 0.001 μB per atom
- ΔH_f (0 K): -2.20 eV per atom

Unit cell a=7.4305 b=7.4305 c=7.4305 alpha=60.00 beta=60.00 gamma=60.00
Last column: nearest neighbours and their distance in Å.
Fractional positions:
Na1 0.2500 0.2500 0.2500  12 Cl 3.72
Na2 0.7500 0.7500 0.7500  12 Cl 3.72
Li1 0.0000 0.0000 0.0000  6 Cl 2.53
Pr1 0.5000 0.5000 0.5000  6 Cl 2.73
Cl1 0.2405 0.2405 0.7595  1 Li 2.53, 1 Pr 2.73
Cl2 0.2405 0.7595 0.2405  1 Li 2.53, 1 Pr 2.73
Cl3 0.2405 0.7595 0.7595  1 Li 2.53, 1 Pr 2.73
Cl4 0.7595 0.2405 0.2405  1 Li 2.53, 1 Pr 2.73
Cl5 0.7595 0.2405 0.7595  1 Li 2.53, 1 Pr 2.73
Cl6 0.7595 0.7595 0.2405  1 Li 2.53, 1 Pr 2.73

A relaxed structure of Na2LiSbCl6, computed with PBE.

Properties
- Space-group type: Fm-3m
- Magnetization: 0.000 μB per atom
- ΔH_f (0 K): -1.66 eV per atom

Unit cell a=7.2949 b=7.2949 c=7.2949 alpha=60.00 beta=60.00 gamma=60.00
Last column: nearest neighbours and their distance in Å.
Fractional positions:
Na1 0.2500 0.2500 0.2500  12 Cl 3.65
Na2 0.7500 0.7500 0.7500  12 Cl 3.65
Li1 0.0000 0.0000 0.0000  6 Cl 2.52
Sb1 0.5000 0.5000 0.5000  6 Cl 2.64
Cl1 0.2445 0.2445 0.7555  1 Li 2.52, 1 Sb 2.64
Cl2 0.2445 0.7555 0.2445  1 Li 2.52, 1 Sb 2.64
Cl3 0.2445 0.7555 0.7555  1 Li 2.52, 1 Sb 2.64
Cl4 0.7555 0.2445 0.2445  1 Li 2.52, 1 Sb 2.64
Cl5 0.7555 0.2445 0.7555  1 Li 2.52, 1 Sb 2.64
Cl6 0.7555 0.7555 0.2445  1 Li 2.52, 1 Sb 2.64

A relaxed structure of Na2LiScCl6, computed with PBE.

Properties
- Space-group type: Fm-3m
- Magnetization: 0.000 μB per atom
- ΔH_f (0 K): -2.20 eV per atom

Unit cell a=7.0585 b=7.0585 c=7.0585 alpha=60.00 beta=60.00 gamma=60.00
Last column: nearest neighbours and their distance in Å.
Fractional positions:
Na1 0.2500 0.2500 0.2500  12 Cl 3.53
Na2 0.7500 0.7500 0.7500  12 Cl 3.53
Li1 0.0000 0.0000 0.0000  6 Cl 2.51
Sc1 0.5000 0.5000 0.5000  6 Cl 2.48
Cl1 0.2518 0.2518 0.7482  1 Sc 2.48, 1 Li 2.51
Cl2 0.2518 0.7482 0.2518  1 Sc 2.48, 1 Li 2.51
Cl3 0.2518 0.7482 0.7482  1 Sc 2.48, 1 Li 2.51
Cl4 0.7482 0.2518 0.2518  1 Sc 2.48, 1 Li 2.51
Cl5 0.7482 0.2518 0.7482  1 Sc 2.48, 1 Li 2.51
Cl6 0.7482 0.7482 0.2518  1 Sc 2.48, 1 Li 2.51

A relaxed structure of Na2LiSmCl6, computed with PBE.

Properties
- Space-group type: Fm-3m
- ΔH_f (0 K): -2.23 eV per atom

Unit cell a=7.3503 b=7.3503 c=7.3503 alpha=60.00 beta=60.00 gamma=60.00
Last column: nearest neighbours and their distance in Å.
Fractional positions:
Na1 0.2500 0.2500 0.2500  12 Cl 3.68
Na2 0.7500 0.7500 0.7500  12 Cl 3.68
Li1 0.0000 0.0000 0.0000  6 Cl 2.53
Sm1 0.5000 0.5000 0.5000  6 Cl 2.67
Cl1 0.2429 0.2429 0.7571  1 Li 2.53, 1 Sm 2.67
Cl2 0.2429 0.7571 0.2429  1 Li 2.53, 1 Sm 2.67
Cl3 0.2429 0.7571 0.7571  1 Li 2.53, 1 Sm 2.67
Cl4 0.7571 0.2429 0.2429  1 Li 2.53, 1 Sm 2.67
Cl5 0.7571 0.2429 0.7571  1 Li 2.53, 1 Sm 2.67
Cl6 0.7571 0.7571 0.2429  1 Li 2.53, 1 Sm 2.67

| no. | calculated density (g cm⁻³) |
| --- | --- |
| 1 | 2.33 |
| 2 | 2.34 |
| 3 | 2.07 |
| 4 | 2.46 |